# 1
# Li7Fe3NiP6O24, relaxed, DFT PBE with a Hubbard U
# * volume: 11.5 Å³/atom
# * formation energy from the elements: -2.46 eV per atom
# * total DFT energy (no corrections): -812.4 eV/cell
# * total magnetic moment: 51.00 μB per cell
data_Li7Fe3NiP6O24
_cell_length_a 8.8159
_cell_length_b 8.8159
_cell_length_c 21.0386
_cell_angle_alpha 90.00
_cell_angle_beta 90.00
_cell_angle_gamma 120.00
_space_group_name_H-M_alt 'R 3'
_space_group_IT_number 146
_space_group_name_Hall 'R 3'
loop_
_atom_site_label
_atom_site_type_symbol
_atom_site_fract_x
_atom_site_fract_y
_atom_site_fract_z
Li1 Li 0.0000 0.0000 0.0000
Li2 Li 0.0223 0.7818 0.5295
Li3 Li 0.0326 0.4240 0.7534
Fe1 Fe 0.0000 0.0000 0.3450
Fe2 Fe 0.0000 0.0000 0.6365
Fe3 Fe 0.0000 0.0000 0.8507
Ni1 Ni 0.0000 0.0000 0.1388
P1 P 0.0029 0.2970 0.2402
P2 P 0.0045 0.7084 0.7392
O1 O 0.0089 0.1981 0.2989
O2 O 0.0236 0.1910 0.9101
O3 O 0.0276 0.2197 0.1779
O4 O 0.1408 0.6895 0.4690
O5 O 0.1452 0.6721 0.3483
O6 O 0.1565 0.6853 0.0740
O7 O 0.1634 0.4885 0.2376
O8 O 0.1850 0.7164 0.7368

***

# 2
# Li3FeNi2P3O12, relaxed, DFT PBE with a Hubbard U
# * volume: 10.3 Å³/atom
# * formation energy from the elements: -2.40 eV per atom
# * total DFT energy (no corrections): -544.8 eV/cell
# * total magnetic moment: 32.00 μB per cell
data_Li3FeNi2P3O12
_cell_length_a 11.274
_cell_length_b 5.973
_cell_length_c 13.958
_cell_angle_alpha 90.00
_cell_angle_beta 112.42
_cell_angle_gamma 90.00
_space_group_name_H-M_alt 'P 1 m 1'
_space_group_IT_number 6
loop_
_space_group_symop_operation_xyz
'x,y,z'
'x,-y,z'
loop_
_atom_site_label
_atom_site_type_symbol
_atom_site_fract_x
_atom_site_fract_y
_atom_site_fract_z
Li1 Li 0.000 0.249 0.000
Li2 Li 0.166 0.250 0.667
Li3 Li 0.334 0.250 0.334
Li4 Li 0.499 0.250 0.000
Li5 Li 0.667 0.250 0.667
Li6 Li 0.833 0.250 0.334
Fe1 Fe 0.140 0.000 0.418
Fe2 Fe 0.323 0.000 0.101
Fe3 Fe 0.473 0.000 0.751
Fe4 Fe 0.806 0.000 0.084
Ni1 Ni 0.012 0.500 0.236
Ni2 Ni 0.189 0.500 0.913
Ni3 Ni 0.346 0.500 0.569
Ni4 Ni 0.523 0.500 0.248
Ni5 Ni 0.655 0.000 0.431
Ni6 Ni 0.679 0.500 0.902
Ni7 Ni 0.856 0.500 0.581
Ni8 Ni 0.988 0.000 0.765
P1 P 0.035 0.500 0.442
P2 P 0.076 0.000 0.170
P3 P 0.256 0.500 0.163
P4 P 0.297 0.000 0.893
P5 P 0.368 0.500 0.775
P6 P 0.411 0.000 0.504
P7 P 0.590 0.500 0.496
P8 P 0.632 0.000 0.227
P9 P 0.701 0.500 0.108
P10 P 0.744 0.000 0.837
P11 P 0.923 0.500 0.830
P12 P 0.964 0.000 0.560
O1 O 0.018 0.294 0.852
O2 O 0.036 0.296 0.371
O3 O 0.098 0.000 0.554
O4 O 0.128 0.000 0.082
O5 O 0.147 0.500 0.548
O6 O 0.152 0.500 0.053
O7 O 0.183 0.000 0.279
O8 O 0.186 0.000 0.785
O9 O 0.202 0.500 0.250
O10 O 0.234 0.500 0.782
O11 O 0.296 0.208 0.961
O12 O 0.318 0.208 0.482
O13 O 0.352 0.296 0.186
O14 O 0.369 0.296 0.704
O15 O 0.432 0.000 0.887
O16 O 0.465 0.000 0.416
O17 O 0.480 0.500 0.881
O18 O 0.486 0.500 0.386
O19 O 0.517 0.000 0.613
O20 O 0.523 0.000 0.119
O21 O 0.535 0.500 0.583
O22 O 0.568 0.500 0.116
O23 O 0.630 0.207 0.296
O24 O 0.652 0.208 0.815
O25 O 0.684 0.294 0.519
O26 O 0.702 0.296 0.037
O27 O 0.767 0.000 0.221
O28 O 0.798 0.000 0.749
O29 O 0.814 0.500 0.214
O30 O 0.819 0.500 0.720
O31 O 0.850 0.000 0.946
O32 O 0.853 0.000 0.453
O33 O 0.869 0.500 0.916
O34 O 0.901 0.500 0.449
O35 O 0.963 0.207 0.630
O36 O 0.984 0.208 0.149

***

# 3
# Li4Fe3NiP4O16, relaxed, DFT PBE with a Hubbard U
# * volume: 10.7 Å³/atom
# * formation energy from the elements: -2.45 eV per atom
# * total DFT energy (no corrections): -187.9 eV/cell
# * total magnetic moment: 14.00 μB per cell
data_Li4Fe3NiP4O16
_cell_length_a 4.742
_cell_length_b 6.064
_cell_length_c 10.372
_cell_angle_alpha 90.00
_cell_angle_beta 90.32
_cell_angle_gamma 90.00
_space_group_name_H-M_alt 'P 1 m 1'
_space_group_IT_number 6
loop_
_space_group_symop_operation_xyz
'x,y,z'
'x,-y,z'
loop_
_atom_site_label
_atom_site_type_symbol
_atom_site_fract_x
_atom_site_fract_y
_atom_site_fract_z
Li1 Li 0.000 0.249 0.000
Li2 Li 0.499 0.251 0.495
Fe1 Fe 0.025 0.000 0.716
Fe2 Fe 0.476 0.000 0.218
Fe3 Fe 0.524 0.500 0.778
Ni1 Ni 0.982 0.500 0.276
P1 P 0.079 0.500 0.589
P2 P 0.418 0.500 0.095
P3 P 0.583 0.000 0.903
P4 P 0.916 0.000 0.402
O1 O 0.198 0.500 0.450
O2 O 0.215 0.297 0.661
O3 O 0.241 0.000 0.401
O4 O 0.259 0.000 0.901
O5 O 0.280 0.298 0.165
O6 O 0.297 0.500 0.955
O7 O 0.707 0.000 0.042
O8 O 0.716 0.204 0.833
O9 O 0.743 0.500 0.099
O10 O 0.755 0.500 0.593
O11 O 0.782 0.206 0.332
O12 O 0.793 0.000 0.541

***

# 4
# Li4FeNi3P4O16, relaxed, DFT PBE with a Hubbard U
# * volume: 10.3 Å³/atom
# * formation energy from the elements: -2.39 eV per atom
# * total DFT energy (no corrections): -180.3 eV/cell
# * total magnetic moment: 10.00 μB per cell
data_Li4FeNi3P4O16
_cell_length_a 4.732
_cell_length_b 5.976
_cell_length_c 10.184
_cell_angle_alpha 90.00
_cell_angle_beta 90.03
_cell_angle_gamma 90.00
_space_group_name_H-M_alt 'P 1 m 1'
_space_group_IT_number 6
loop_
_space_group_symop_operation_xyz
'x,y,z'
'x,-y,z'
loop_
_atom_site_label
_atom_site_type_symbol
_atom_site_fract_x
_atom_site_fract_y
_atom_site_fract_z
Li1 Li 0.000 0.249 0.000
Li2 Li 0.500 0.250 0.497
Fe1 Fe 0.523 0.500 0.777
Ni1 Ni 0.020 0.000 0.721
Ni2 Ni 0.481 0.000 0.223
Ni3 Ni 0.979 0.500 0.275
P1 P 0.084 0.500 0.590
P2 P 0.414 0.500 0.095
P3 P 0.585 0.000 0.905
P4 P 0.916 0.000 0.404
O1 O 0.204 0.500 0.448
O2 O 0.222 0.292 0.661
O3 O 0.240 0.000 0.399
O4 O 0.260 0.000 0.898
O5 O 0.274 0.293 0.165
O6 O 0.295 0.500 0.953
O7 O 0.700 0.000 0.048
O8 O 0.727 0.204 0.834
O9 O 0.739 0.500 0.099
O10 O 0.761 0.500 0.595
O11 O 0.775 0.206 0.333
O12 O 0.798 0.000 0.547

***

# 5
# Li8Fe7NiP12O48, relaxed, DFT PBE with a Hubbard U
# * volume: 12.4 Å³/atom
# * formation energy from the elements: -2.37 eV per atom
# * total DFT energy (no corrections): -511.5 eV/cell
# * total magnetic moment: 42.00 μB per cell
data_Li8Fe7NiP12O48
_cell_length_a 8.688
_cell_length_b 8.822
_cell_length_c 12.269
_cell_angle_alpha 89.87
_cell_angle_beta 89.97
_cell_angle_gamma 89.96
_space_group_name_H-M_alt 'P 1'
_space_group_IT_number 1
loop_
_space_group_symop_operation_xyz
'x,y,z'
loop_
_atom_site_label
_atom_site_type_symbol
_atom_site_fract_x
_atom_site_fract_y
_atom_site_fract_z
Li1 Li 0.000 0.000 0.000
Li2 Li 0.000 0.056 0.631
Li3 Li 0.435 0.500 0.000
Li4 Li 0.436 0.555 0.634
Li5 Li 0.499 0.000 0.134
Li6 Li 0.500 0.055 0.499
Li7 Li 0.934 0.500 0.134
Li8 Li 0.934 0.554 0.499
Fe1 Fe 0.466 0.319 0.204
Fe2 Fe 0.467 0.736 0.430
Fe3 Fe 0.468 0.236 0.704
Fe4 Fe 0.468 0.819 0.930
Fe5 Fe 0.967 0.737 0.703
Fe6 Fe 0.967 0.818 0.204
Fe7 Fe 0.968 0.318 0.929
Ni1 Ni 0.966 0.238 0.431
P1 P 0.111 0.385 0.670
P2 P 0.111 0.670 0.963
P3 P 0.178 0.527 0.317
P4 P 0.256 0.029 0.317
P5 P 0.323 0.170 0.963
P6 P 0.323 0.885 0.670
P7 P 0.611 0.671 0.170
P8 P 0.613 0.386 0.463
P9 P 0.677 0.528 0.817
P10 P 0.757 0.028 0.817
P11 P 0.823 0.170 0.169
P12 P 0.823 0.886 0.464
O1 O 0.044 0.789 0.044
O2 O 0.047 0.265 0.591
O3 O 0.054 0.510 0.996
O4 O 0.055 0.546 0.638
O5 O 0.060 0.343 0.786
O6 O 0.060 0.712 0.848
O7 O 0.069 0.615 0.239
O8 O 0.070 0.442 0.396
O9 O 0.144 0.174 0.973
O10 O 0.145 0.882 0.661
O11 O 0.157 0.923 0.247
O12 O 0.164 0.132 0.392
O13 O 0.274 0.420 0.246
O14 O 0.276 0.634 0.387
O15 O 0.290 0.382 0.661
O16 O 0.290 0.673 0.972
O17 O 0.364 0.940 0.396
O18 O 0.365 0.116 0.238
O19 O 0.374 0.212 0.848
O20 O 0.374 0.843 0.786
O21 O 0.380 0.010 0.996
O22 O 0.380 0.045 0.637
O23 O 0.390 0.765 0.590
O24 O 0.391 0.290 0.044
O25 O 0.544 0.790 0.091
O26 O 0.546 0.265 0.544
O27 O 0.555 0.510 0.138
O28 O 0.555 0.546 0.496
O29 O 0.560 0.712 0.286
O30 O 0.561 0.342 0.348
O31 O 0.568 0.440 0.738
O32 O 0.568 0.615 0.895
O33 O 0.643 0.882 0.471
O34 O 0.644 0.172 0.161
O35 O 0.660 0.135 0.747
O36 O 0.660 0.921 0.887
O37 O 0.775 0.421 0.886
O38 O 0.775 0.634 0.747
O39 O 0.790 0.384 0.474
O40 O 0.790 0.673 0.162
O41 O 0.866 0.115 0.895
O42 O 0.866 0.941 0.738
O43 O 0.873 0.217 0.284
O44 O 0.873 0.844 0.348
O45 O 0.877 0.044 0.497
O46 O 0.880 0.010 0.137
O47 O 0.889 0.290 0.089
O48 O 0.890 0.765 0.543

***

# 6
# Li4TiFe2Ni3P6O24, relaxed, DFT PBE with a Hubbard U
# * volume: 11.5 Å³/atom
# * formation energy from the elements: -2.44 eV per atom
# * total DFT energy (no corrections): -269.9 eV/cell
# * total magnetic moment: 14.00 μB per cell
data_Li4TiFe2Ni3P6O24
_cell_length_a 8.505
_cell_length_b 8.603
_cell_length_c 8.603
_cell_angle_alpha 61.40
_cell_angle_beta 61.53
_cell_angle_gamma 61.76
_space_group_name_H-M_alt 'P 1'
_space_group_IT_number 1
loop_
_space_group_symop_operation_xyz
'x,y,z'
loop_
_atom_site_label
_atom_site_type_symbol
_atom_site_fract_x
_atom_site_fract_y
_atom_site_fract_z
Li1 Li 0.000 0.000 0.000
Li2 Li 0.105 0.854 0.510
Li3 Li 0.214 0.340 0.450
Li4 Li 0.659 0.551 0.789
Ti1 Ti 0.213 0.547 0.000
Fe1 Fe 0.374 0.703 0.147
Fe2 Fe 0.852 0.207 0.649
Ni1 Ni 0.006 0.351 0.798
Ni2 Ni 0.506 0.851 0.294
Ni3 Ni 0.721 0.057 0.501
P1 P 0.111 0.147 0.193
P2 P 0.308 0.946 0.688
P3 P 0.414 0.446 0.597
P4 P 0.606 0.250 0.109
P5 P 0.808 0.748 0.899
P6 P 0.917 0.665 0.395
O1 O 0.046 0.176 0.042
O2 O 0.120 0.122 0.698
O3 O 0.124 0.600 0.250
O4 O 0.182 0.313 0.132
O5 O 0.260 0.379 0.628
O6 O 0.261 0.804 0.898
O7 O 0.263 0.951 0.222
O8 O 0.317 0.878 0.549
O9 O 0.353 0.514 0.765
O10 O 0.429 0.608 0.410
O11 O 0.464 0.462 0.053
O12 O 0.484 0.980 0.647
O13 O 0.519 0.110 0.157
O14 O 0.605 0.289 0.600
O15 O 0.616 0.783 0.050
O16 O 0.658 0.232 0.264
O17 O 0.763 0.736 0.317
O18 O 0.774 0.251 0.917
O19 O 0.832 0.594 0.840
O20 O 0.836 0.927 0.731
O21 O 0.905 0.477 0.565
O22 O 0.924 0.812 0.443
O23 O 0.961 0.143 0.389
O24 O 0.976 0.678 0.974

***

# 7
# Li4Fe3Ni2Sb3O16, relaxed, DFT PBE with a Hubbard U
# * volume: 11.3 Å³/atom
# * formation energy from the elements: -1.83 eV per atom
# * total DFT energy (no corrections): -329.2 eV/cell
# * total magnetic moment: 38.00 μB per cell
data_Li4Fe3Ni2Sb3O16
_cell_length_a 10.594
_cell_length_b 6.107
_cell_length_c 9.817
_cell_angle_alpha 90.00
_cell_angle_beta 90.64
_cell_angle_gamma 90.00
_space_group_name_H-M_alt 'C 1 m 1'
_space_group_IT_number 8
loop_
_space_group_symop_operation_xyz
'x,y,z'
'x,-y,z'
'x+1/2,y+1/2,z'
'x+1/2,-y+1/2,z'
loop_
_atom_site_label
_atom_site_type_symbol
_atom_site_fract_x
_atom_site_fract_y
_atom_site_fract_z
Li1 Li 0.000 0.000 0.000
Li2 Li 0.002 0.000 0.516
Li3 Li 0.164 0.500 0.108
Li4 Li 0.330 0.000 0.634
Fe1 Fe 0.076 0.254 0.792
Fe2 Fe 0.160 0.000 0.289
Ni1 Ni 0.150 0.500 0.532
Ni2 Ni 0.318 0.000 0.996
Sb1 Sb 0.321 0.500 0.792
Sb2 Sb 0.407 0.247 0.291
O1 O 0.010 0.500 0.673
O2 O 0.066 0.237 0.400
O3 O 0.151 0.000 0.902
O4 O 0.162 0.500 0.905
O5 O 0.236 0.279 0.669
O6 O 0.253 0.228 0.178
O7 O 0.328 0.000 0.405
O8 O 0.337 0.500 0.403
O9 O 0.408 0.265 0.906
O10 O 0.478 0.000 0.175
O11 O 0.487 0.500 0.695
O12 O 0.488 0.500 0.186

***

# 8
# Li4Fe2Ni3Sb3O16, relaxed, DFT PBE with a Hubbard U
# * volume: 11.1 Å³/atom
# * formation energy from the elements: -1.80 eV per atom
# * E above lowest polymorph: 0.000 eV/atom
# * total DFT energy (no corrections): -160.7 eV/cell
# * total magnetic moment: 15.00 μB per cell
data_Li4Fe2Ni3Sb3O16
_cell_length_a 6.050
_cell_length_b 6.080
_cell_length_c 9.694
_cell_angle_alpha 91.46
_cell_angle_beta 90.51
_cell_angle_gamma 119.72
_space_group_name_H-M_alt 'P 1'
_space_group_IT_number 1
loop_
_space_group_symop_operation_xyz
'x,y,z'
loop_
_atom_site_label
_atom_site_type_symbol
_atom_site_fract_x
_atom_site_fract_y
_atom_site_fract_z
Li1 Li 0.000 0.000 0.000
Li2 Li 0.012 0.025 0.519
Li3 Li 0.344 0.695 0.417
Li4 Li 0.682 0.375 0.897
Fe1 Fe 0.368 0.745 0.988
Fe2 Fe 0.702 0.396 0.520
Ni1 Ni 0.190 0.874 0.727
Ni2 Ni 0.684 0.879 0.728
Ni3 Ni 0.848 0.700 0.230
Sb1 Sb 0.194 0.387 0.730
Sb2 Sb 0.356 0.209 0.230
Sb3 Sb 0.850 0.209 0.229
O1 O 0.023 0.046 0.332
O2 O 0.039 0.051 0.819
O3 O 0.053 0.550 0.861
O4 O 0.173 0.351 0.117
O5 O 0.190 0.889 0.115
O6 O 0.339 0.707 0.623
O7 O 0.356 0.230 0.608
O8 O 0.483 0.009 0.850
O9 O 0.500 0.563 0.860
O10 O 0.530 0.513 0.354
O11 O 0.535 0.067 0.350
O12 O 0.676 0.360 0.115
O13 O 0.697 0.892 0.111
O14 O 0.868 0.217 0.611
O15 O 0.876 0.720 0.614
O16 O 0.981 0.511 0.354